{"formula": "Ta2MnO6", "functional": "GGA+U", "state": "relaxed", "polymorph_energy_ev_per_atom": 0.017, "m_tot_mub_per_fu": 2.50, "lattice_angstrom": [[-1.4080, -7.1326, 2.1107], [7.4456, 0.4273, 1.3007], [-2.6424, 4.6591, 14.6024]], "species": ["O", "O", "O", "Ta", "O", "Ta", "O", "Ta", "Ta", "Ta", "O", "O", "O", "O", "O", "Mn", "Ta", "O", "O", "Ta", "O", "O", "O", "O", "Ta", "O", "O", "O", "Ta", "O", "Ta", "O", "O", "O", "O", "O", "O", "Mn", "O", "O", "O", "O", "Mn", "Ta", "O", "O", "O", "Mn", "Ta", "O", "O", "Mn", "O", "O", "Ta", "Mn", "O", "O", "Ta", "O", "O", "O", "Mn", "O", "Mn", "O", "O", "Ta", "O", "Ta", "O", "O"], "fractional_positions": [[0.3974, 0.3015, 0.5190], [0.6929, 0.0678, 0.8697], [0.2988, 0.4007, 0.6877], [0.8338, 0.1666, 0.0841], [0.3067, 0.4082, 0.3551], [0.1650, 0.3377, 0.9130], [0.0678, 0.6929, 0.3697], [0.8381, 0.6590, 0.4169], [0.1662, 0.8334, 0.9159], [0.8308, 0.6641, 0.7484], [0.2966, 0.9349, 0.4770], [0.0651, 0.7034, 0.0230], [0.9135, 0.8016, 0.1884], [0.0680, 0.1913, 0.1387], [0.4082, 0.3067, 0.8551], [0.1694, 0.8306, 0.2500], [0.8334, 0.1662, 0.4159], [0.1892, 0.5808, 0.5377], [0.6985, 0.6026, 0.9810], [0.8350, 0.6623, 0.0870], [0.0865, 0.1984, 0.8116], [0.4007, 0.2988, 0.1877], [0.3071, 0.9322, 0.1303], [0.6026, 0.6985, 0.4810], [0.1619, 0.3410, 0.5831], [0.4218, 0.8143, 0.6306], [0.1984, 0.0865, 0.3116], [0.8087, 0.9320, 0.3613], [0.1692, 0.3359, 0.2516], [0.0674, 0.1956, 0.4714], [0.6641, 0.8308, 0.2484], [0.9326, 0.8044, 0.5286], [0.9322, 0.3071, 0.6303], [0.5918, 0.6933, 0.1449], [0.8159, 0.4405, 0.8002], [0.5808, 0.1892, 0.0377], [0.4192, 0.8108, 0.9623], [0.6665, 0.3430, 0.9150], [0.2958, 0.9283, 0.8079], [0.9283, 0.2958, 0.3079], [0.8143, 0.4218, 0.1306], [0.7034, 0.0651, 0.5230], [0.3335, 0.6570, 0.0850], [0.3410, 0.1619, 0.0831], [0.6933, 0.5918, 0.6449], [0.5595, 0.1841, 0.6998], [0.8108, 0.4192, 0.4623], [0.6570, 0.3335, 0.5850], [0.3359, 0.1692, 0.7516], [0.0717, 0.7042, 0.6921], [0.8044, 0.9326, 0.0286], [0.3417, 0.6583, 0.7500], [0.9349, 0.2966, 0.9770], [0.1857, 0.5782, 0.8694], [0.6590, 0.8381, 0.9169], [0.8306, 0.1694, 0.7500], [0.1956, 0.0674, 0.9714], [0.5993, 0.7012, 0.8123], [0.6623, 0.8350, 0.5870], [0.9320, 0.8087, 0.8613], [0.8016, 0.9135, 0.6884], [0.1841, 0.5595, 0.1998], [0.6583, 0.3417, 0.2500], [0.7012, 0.5993, 0.3123], [0.3430, 0.6665, 0.4150], [0.7042, 0.0717, 0.1921], [0.4405, 0.8159, 0.3002], [0.3377, 0.1650, 0.4130], [0.1913, 0.0680, 0.6387], [0.1666, 0.8338, 0.5841], [0.3015, 0.3974, 0.0190], [0.5782, 0.1857, 0.3694]]}



{"formula": "Nd2Te3MoO12", "functional": "GGA+U", "state": "relaxed", "m_tot_mub_per_fu": 0.00, "lattice_angstrom": [[-3.7899, 2.2342, -3.1240], [-6.9046, -8.8720, 2.0313], [-6.8624, 8.6657, 14.5225]], "species": ["O", "Te", "Mo", "O", "O", "Nd", "Te", "O", "O", "O", "O", "O", "O", "O", "O", "O", "O", "O", "O", "O", "O", "Te", "O", "O", "Te", "Nd", "O", "O", "Te", "O", "Nd", "Nd", "O", "Nd", "Mo", "Te", "O", "O", "Mo", "Mo", "O", "O", "O", "O", "O", "O", "Nd", "Te", "Te", "O", "O", "O", "O", "Te", "Te", "O", "Nd", "O", "O", "O", "O", "O", "Te", "O", "Nd", "Te", "O", "O", "O", "O", "O", "O"], "fractional_positions": [[0.9159, 0.4331, 0.9263], [0.2269, 0.9112, 0.1694], [0.2412, 0.2500, 0.1808], [0.6057, 0.8826, 0.0099], [0.9674, 0.9848, 0.6593], [0.7436, 0.0771, 0.0625], [0.2137, 0.2500, 0.9537], [0.5841, 0.4331, 0.4263], [0.8567, 0.7500, 0.2292], [0.5841, 0.0669, 0.4263], [0.4836, 0.7500, 0.4654], [0.1057, 0.1174, 0.4901], [0.3943, 0.1174, 0.9901], [0.0179, 0.7500, 0.3777], [0.1467, 0.7500, 0.6442], [0.9836, 0.2500, 0.0346], [0.3943, 0.3826, 0.9901], [0.3533, 0.7500, 0.1442], [0.9159, 0.0669, 0.9263], [0.4535, 0.3793, 0.6717], [0.5179, 0.2500, 0.1223], [0.7863, 0.7500, 0.0463], [0.8943, 0.8826, 0.5099], [0.4674, 0.0152, 0.8407], [0.7731, 0.0888, 0.8306], [0.2564, 0.5771, 0.9375], [0.9535, 0.6207, 0.8283], [0.4535, 0.1207, 0.6717], [0.2269, 0.5888, 0.1694], [0.0164, 0.7500, 0.9654], [0.7564, 0.0771, 0.5625], [0.7436, 0.4229, 0.0625], [0.0465, 0.1207, 0.1717], [0.2564, 0.9229, 0.9375], [0.7412, 0.7500, 0.3192], [0.7269, 0.4112, 0.3306], [0.4159, 0.5669, 0.5737], [0.6467, 0.2500, 0.8558], [0.2588, 0.2500, 0.6808], [0.7588, 0.7500, 0.8192], [0.9674, 0.5152, 0.6593], [0.1433, 0.2500, 0.7708], [0.6057, 0.6174, 0.0099], [0.8533, 0.2500, 0.3558], [0.0841, 0.5669, 0.0737], [0.0465, 0.3793, 0.1717], [0.7564, 0.4229, 0.5625], [0.2863, 0.2500, 0.4537], [0.7137, 0.7500, 0.5463], [0.5465, 0.8793, 0.3283], [0.1057, 0.3826, 0.4901], [0.5326, 0.9848, 0.1593], [0.6433, 0.7500, 0.7292], [0.7731, 0.4112, 0.8306], [0.2731, 0.5888, 0.6694], [0.5164, 0.2500, 0.5346], [0.2436, 0.9229, 0.4375], [0.4821, 0.7500, 0.8777], [0.8943, 0.6174, 0.5099], [0.9821, 0.2500, 0.6223], [0.0326, 0.4848, 0.3407], [0.3567, 0.2500, 0.2708], [0.7269, 0.0888, 0.3306], [0.9535, 0.8793, 0.8283], [0.2436, 0.5771, 0.4375], [0.2731, 0.9112, 0.6694], [0.5326, 0.5152, 0.1593], [0.4674, 0.4848, 0.8407], [0.4159, 0.9331, 0.5737], [0.5465, 0.6207, 0.3283], [0.0841, 0.9331, 0.0737], [0.0326, 0.0152, 0.3407]]}



{"formula": "Ca8ScFe7Si20O60", "functional": "GGA+U", "state": "relaxed", "m_tot_mub_per_fu": 35.00, "lattice_angstrom": [[-5.3793, -3.6357, 1.7363], [0.9890, -5.3543, -10.5825], [9.3735, -7.8118, 8.8003]], "species": ["Ca", "O", "Si", "Ca", "O", "Si", "O", "O", "Si", "O", "O", "O", "O", "O", "O", "Ca", "Fe", "O", "Ca", "O", "O", "Si", "O", "O", "O", "O", "Fe", "O", "O", "O", "O", "O", "O", "O", "Fe", "Ca", "Si", "O", "O", "Ca", "Si", "Si", "O", "O", "O", "O", "O", "O", "O", "O", "O", "O", "Si", "O", "O", "Si", "Fe", "Si", "O", "Si", "O", "Fe", "Si", "Si", "Sc", "O", "Si", "O", "O", "O", "O", "Si", "O", "O", "Ca", "Fe", "O", "Ca", "O", "Si", "Fe", "O", "Si", "O", "O", "O", "Si", "O", "O", "O", "O", "O", "O", "O", "Si", "Si"], "fractional_positions": [[0.1584, 0.9513, 0.3920], [0.5312, 0.9909, 0.6026], [0.3145, 0.7132, 0.4901], [0.8384, 0.0449, 0.1050], [0.5297, 0.9933, 0.0999], [0.3135, 0.7118, 0.9903], [0.2394, 0.3498, 0.6689], [0.6157, 0.6216, 0.1589], [0.1151, 0.8364, 0.1607], [0.8491, 0.6189, 0.5169], [0.4731, 0.2380, 0.0270], [0.2551, 0.7396, 0.0985], [0.7780, 0.0318, 0.8002], [0.8797, 0.2581, 0.5747], [0.5836, 0.8243, 0.7778], [0.8381, 0.0443, 0.6078], [0.8105, 0.7706, 0.4761], [0.8268, 0.9150, 0.9305], [0.1616, 0.9550, 0.8928], [0.0785, 0.1463, 0.9042], [0.5804, 0.8239, 0.2776], [0.3457, 0.0511, 0.6450], [0.6449, 0.3770, 0.2262], [0.8487, 0.6182, 0.0167], [0.7446, 0.2603, 0.9012], [0.9369, 0.2107, 0.7491], [0.0659, 0.6505, 0.7962], [0.0765, 0.1423, 0.3989], [0.9232, 0.8541, 0.5963], [0.7481, 0.2606, 0.4013], [0.3547, 0.6238, 0.7740], [0.9697, 0.5314, 0.6683], [0.2241, 0.9665, 0.7029], [0.3541, 0.6230, 0.2737], [0.8102, 0.7699, 0.9760], [0.2930, 0.5213, 0.6147], [0.7887, 0.5571, 0.0971], [0.3270, 0.5671, 0.9651], [0.6763, 0.4334, 0.5349], [0.7057, 0.4817, 0.8857], [0.5756, 0.6864, 0.2678], [0.8816, 0.1616, 0.3366], [0.4824, 0.2371, 0.5280], [0.2224, 0.9680, 0.1997], [0.2365, 0.3469, 0.1666], [0.1501, 0.3824, 0.9838], [0.9693, 0.5310, 0.1676], [0.9217, 0.8540, 0.0960], [0.1727, 0.0777, 0.5699], [0.9324, 0.2098, 0.2469], [0.5273, 0.7649, 0.4733], [0.8250, 0.9152, 0.4298], [0.6863, 0.2885, 0.0094], [0.8750, 0.2566, 0.0730], [0.3309, 0.5689, 0.4636], [0.1153, 0.8357, 0.6614], [0.1897, 0.2304, 0.0243], [0.5765, 0.6865, 0.7680], [0.6732, 0.4331, 0.0349], [0.6505, 0.9459, 0.3563], [0.0310, 0.4692, 0.8326], [0.9352, 0.3502, 0.7057], [0.8852, 0.1636, 0.8393], [0.2113, 0.4462, 0.4019], [0.1901, 0.2285, 0.5237], [0.4668, 0.0059, 0.4011], [0.2114, 0.4430, 0.9034], [0.4145, 0.1755, 0.7217], [0.1249, 0.7441, 0.4263], [0.0309, 0.4716, 0.3309], [0.1479, 0.3864, 0.4821], [0.4234, 0.3137, 0.2321], [0.7624, 0.6534, 0.3334], [0.6468, 0.3763, 0.7275], [0.2940, 0.5188, 0.1148], [0.0651, 0.6503, 0.2955], [0.4164, 0.1760, 0.2225], [0.7062, 0.4815, 0.3854], [0.1737, 0.0853, 0.0696], [0.6544, 0.9461, 0.8564], [0.9332, 0.3489, 0.2035], [0.1247, 0.7435, 0.9266], [0.7898, 0.5576, 0.5973], [0.0634, 0.7889, 0.2507], [0.5266, 0.7626, 0.9728], [0.2553, 0.7392, 0.5984], [0.3459, 0.0541, 0.1437], [0.6160, 0.6216, 0.6590], [0.7690, 0.0315, 0.2986], [0.0621, 0.7878, 0.7509], [0.7630, 0.6529, 0.8334], [0.3850, 0.3777, 0.8424], [0.4707, 0.0072, 0.9002], [0.3832, 0.3788, 0.3409], [0.6929, 0.2892, 0.5099], [0.4246, 0.3137, 0.7333]]}



{"formula": "Li3Fe4B4O12", "functional": "GGA+U", "state": "relaxed", "polymorph_energy_ev_per_atom": 0.004, "m_tot_mub_per_fu": 17.00, "lattice_angstrom": [[5.2504, 0.0000, 0.0000], [0.0551, 9.0316, 0.0000], [0.1428, 0.1636, 10.2168]], "species": ["O", "O", "Li", "Fe", "O", "Li", "Fe", "B", "O", "Li", "O", "O", "B", "Fe", "B", "Fe", "O", "B", "B", "Fe", "O", "O", "O", "Li", "O", "Fe", "B", "O", "O", "O", "O", "O", "B", "O", "O", "O", "Li", "Fe", "O", "O", "O", "Fe", "Li", "B", "O", "O"], "fractional_positions": [[0.5892, 0.9869, 0.3425], [0.7618, 0.1314, 0.5894], [0.3398, 0.3253, 0.9045], [0.3233, 0.9898, 0.8804], [0.7106, 0.6293, 0.3655], [0.1807, 0.1620, 0.1575], [0.3367, 0.6669, 0.3842], [0.6709, 0.3308, 0.1263], [0.0936, 0.4844, 0.3509], [0.6515, 0.6774, 0.6656], [0.5830, 0.6638, 0.8520], [0.1877, 0.7935, 0.8504], [0.8361, 0.4962, 0.3816], [0.6789, 0.3334, 0.6318], [0.3284, 0.6637, 0.8737], [0.8353, 0.5082, 0.8884], [0.3187, 0.3757, 0.6240], [0.1733, 0.8293, 0.1284], [0.1768, 0.5054, 0.6264], [0.8339, 0.1587, 0.3783], [0.2944, 0.6379, 0.5971], [0.7015, 0.3711, 0.4278], [0.7930, 0.4644, 0.0979], [0.3181, 0.3282, 0.4210], [0.2115, 0.1347, 0.3585], [0.1469, 0.8466, 0.6339], [0.3322, 0.9993, 0.3743], [0.4094, 0.3212, 0.1104], [0.6734, 0.0517, 0.9192], [0.9144, 0.5019, 0.6545], [0.3214, 0.7076, 0.1656], [0.1965, 0.8762, 0.4183], [0.6502, 0.9983, 0.6294], [0.0874, 0.1596, 0.8843], [0.4102, 0.9997, 0.6871], [0.7022, 0.2970, 0.8306], [0.6869, 0.6634, 0.1630], [0.6820, 0.9944, 0.1242], [0.9147, 0.8239, 0.1396], [0.2046, 0.5340, 0.9154], [0.7754, 0.8675, 0.6056], [0.1826, 0.5000, 0.1330], [0.8249, 0.8340, 0.4038], [0.8263, 0.1670, 0.8767], [0.8094, 0.2076, 0.1663], [0.2943, 0.9601, 0.0834]]}



{"formula": "Cs2MnV2Br2O6", "functional": "GGA+U", "state": "relaxed", "m_tot_mub_per_fu": 0.00, "lattice_angstrom": [[-1.1396, -0.4436, -5.6314], [-1.8157, -9.0791, -1.8659], [-11.7074, 1.8850, 2.2206]], "species": ["O", "Cs", "V", "O", "O", "O", "Cs", "Mn", "V", "O", "O", "O", "Br", "Br", "O", "O", "Br", "V", "O", "Cs", "O", "Mn", "O", "Cs", "Br", "V"], "fractional_positions": [[0.7980, 0.4041, 0.4111], [0.3666, 0.2668, 0.5278], [0.1997, 0.6006, 0.2742], [0.2020, 0.5959, 0.9111], [0.8897, 0.2206, 0.7271], [0.2020, 0.5959, 0.4111], [0.6334, 0.7332, 0.5278], [0.0000, 0.0000, 0.2720], [0.8003, 0.3994, 0.7742], [0.5000, 0.5000, 0.7199], [0.7980, 0.4041, 0.9111], [0.1103, 0.7794, 0.7271], [0.5000, 0.0000, 0.2637], [0.0000, 0.0000, 0.9875], [0.8897, 0.2206, 0.2271], [0.0000, 0.5000, 0.7199], [0.0000, 0.0000, 0.4876], [0.8003, 0.3994, 0.2742], [0.1103, 0.7794, 0.2271], [0.6334, 0.7332, 0.0278], [0.0000, 0.5000, 0.2199], [0.0000, 0.0000, 0.7721], [0.5000, 0.5000, 0.2199], [0.3666, 0.2668, 0.0278], [0.5000, 0.0000, 0.7637], [0.1997, 0.6006, 0.7742]]}



| no. | V (Å³/cell) | calculated formation energy (meV/atom) | total energy (eV/atom) |
| --- | --- | --- | --- |
| 1 | 875 | -3083 | -9.3910 |
| 2 | 1125 | -2354 | -6.6727 |
| 3 | 1164 | -3023 | -7.5029 |
| 4 | 484 | -2301 | -7.0159 |
| 5 | 625 | -2151 | -6.2200 |